Entry 1:
First-principles (PBE-GGA) data for Na14La4Si9Sn4S3O48 after structural relaxation, as listed in Materials Project.

```
Na14La4Si9Sn4S3O48
1.0
9.4547 0.0000 0.0000
-0.0017 16.4069 0.0000
-0.0189 -0.2824 23.1319
Na La Si Sn S O
42 12 27 12 9 144
direct
0.0000 0.0000 0.0000
0.9996 0.0387 0.3318
0.0010 0.6856 0.6779
0.0277 0.3226 0.6559
0.1268 0.8275 0.1512
0.1479 0.1871 0.1609
0.1499 0.5366 0.8380
0.1551 0.4924 0.5038
0.1774 0.1791 0.4960
0.1942 0.8469 0.8445
0.2086 0.5118 0.1711
0.3132 0.6591 0.2519
0.3170 0.3481 0.5799
0.3207 0.0084 0.4185
0.3244 0.0086 0.9198
0.3249 0.3383 0.0782
0.3300 0.6733 0.7608
0.4433 0.5169 0.6741
0.4605 0.1760 0.9984
0.4748 0.8425 0.3386
0.4956 0.4849 0.0039
0.5027 0.1848 0.6760
0.5045 0.5218 0.3311
0.5167 0.1670 0.3294
0.5226 0.8226 0.6677
0.6260 0.3208 0.1614
0.6326 0.6663 0.8349
0.6460 0.0256 0.8398
0.6479 0.6866 0.1715
0.6513 0.9879 0.5047
0.6767 0.3397 0.8483
0.6792 0.6759 0.5006
0.7039 0.0204 0.1653
0.8124 0.8483 0.5848
0.8173 0.1714 0.2518
0.8198 0.5007 0.4162
0.8300 0.5059 0.9213
0.8302 0.8530 0.0768
0.8344 0.1603 0.7600
0.9428 0.0133 0.6761
0.9558 0.3437 0.3402
0.9745 0.6789 0.9970
0.3115 0.6692 0.0957
0.3174 0.6807 0.9093
0.3209 0.3394 0.7391
0.3259 0.0184 0.2680
0.3300 0.6733 0.5941
0.3317 0.3468 0.2362
0.8178 0.8475 0.7388
0.8216 0.5166 0.7716
0.8293 0.1745 0.0896
0.8319 0.1804 0.4082
0.8322 0.8423 0.2351
0.8391 0.1673 0.5959
0.0268 0.0094 0.1665
0.1204 0.5086 0.6659
0.1298 0.1806 0.0015
0.1575 0.8377 0.0014
0.1613 0.5126 0.9996
0.1690 0.5034 0.3357
0.1800 0.1971 0.3382
0.1844 0.1483 0.6670
0.4740 0.4899 0.8365
0.4749 0.1610 0.1625
0.4769 0.8301 0.4994
0.4849 0.5198 0.4998
0.4891 0.1941 0.8358
0.5218 0.8479 0.8302
0.5430 0.5122 0.1670
0.6066 0.0110 0.6661
0.6274 0.3484 0.3314
0.6648 0.0194 0.9998
0.6705 0.6946 0.3364
0.6713 0.9924 0.3362
0.6748 0.3311 0.9994
0.6807 0.6602 0.6614
0.9668 0.6479 0.1673
0.9707 0.6969 0.8369
0.9818 0.0035 0.8339
0.9873 0.0099 0.4992
0.9903 0.3385 0.5018
0.3155 0.0175 0.0604
0.3198 0.3556 0.4276
0.3236 0.0054 0.5648
0.3300 0.3389 0.9356
0.3306 0.0209 0.7764
0.3413 0.6741 0.4046
0.8151 0.8434 0.4326
0.8199 0.1724 0.9086
0.8213 0.5200 0.2757
0.8240 0.5082 0.5651
0.8257 0.5051 0.0651
0.8307 0.8561 0.9273
0.0177 0.6787 0.4984
0.0203 0.3360 0.8396
0.1286 0.8350 0.3411
0.1842 0.8691 0.6687
0.4719 0.8630 0.1638
0.5022 0.1763 0.5028
0.6480 0.6764 0.0026
0.6755 0.3623 0.6633
0.9628 0.3694 0.1702
0.0004 0.1613 0.9549
0.0078 0.1861 0.3397
0.0090 0.5032 0.6095
0.0102 0.1597 0.6676
0.0215 0.8424 0.3885
0.0266 0.8636 0.6676
0.0355 0.5127 0.7272
0.0590 0.8249 0.2846
0.0646 0.1987 0.0654
0.0857 0.6927 0.5547
0.0867 0.3274 0.7815
0.1053 0.0093 0.2298
0.1195 0.3644 0.1692
0.1267 0.6683 0.4517
0.1283 0.3434 0.8851
0.1410 0.6593 0.1682
0.1430 0.0039 0.1127
0.1428 0.6863 0.8386
0.1578 0.0025 0.8297
0.1615 0.0075 0.5079
0.1661 0.3465 0.4957
0.1770 0.5753 0.9458
0.1791 0.7770 0.0569
0.1949 0.4416 0.3910
0.2101 0.2440 0.2783
0.2121 0.5941 0.6637
0.2161 0.9105 0.3427
0.2183 0.0918 0.7235
0.2194 0.4258 0.6613
0.2228 0.7628 0.3483
0.2232 0.9147 0.6155
0.2260 0.0951 0.0003
0.2257 0.8002 0.9426
0.2256 0.9302 0.0091
0.2368 0.9088 0.7219
0.2402 0.1035 0.6066
0.2422 0.2546 0.9879
0.2419 0.4243 0.9903
0.2441 0.5491 0.0572
0.2459 0.5938 0.3501
0.2456 0.7854 0.6656
0.2473 0.2488 0.3946
0.2514 0.4748 0.2772
0.2557 0.1069 0.3434
0.2603 0.2384 0.6680
0.3881 0.2478 0.1596
0.4007 0.7812 0.4438
0.4043 0.5507 0.5582
0.4092 0.2484 0.4986
0.4088 0.4311 0.4875
0.4086 0.7796 0.1585
0.4123 0.1001 0.5052
0.4122 0.1061 0.1072
0.4125 0.5831 0.8411
0.4138 0.2438 0.8896
0.4148 0.4297 0.8881
0.4178 0.9253 0.5026
0.4193 0.4560 0.7733
0.4218 0.9321 0.8300
0.4226 0.1008 0.8339
0.4240 0.8948 0.2212
0.4248 0.7675 0.8416
0.4268 0.9161 0.1164
0.4384 0.4330 0.1644
0.4495 0.5974 0.1671
0.4506 0.1126 0.2235
0.4567 0.5891 0.4481
0.4613 0.7792 0.5579
0.4751 0.2431 0.7751
0.4901 0.0170 0.0046
0.4936 0.6879 0.3437
0.4983 0.9890 0.3408
0.5001 0.3404 0.9913
0.5046 0.0181 0.7239
0.5049 0.3670 0.3817
0.5080 0.6726 0.6606
0.5112 0.0017 0.6055
0.5191 0.3562 0.6627
0.5517 0.3306 0.2697
0.5584 0.6638 0.9502
0.5583 0.6848 0.0546
0.5915 0.1640 0.4505
0.5921 0.1843 0.5550
0.5940 0.8297 0.7677
0.6289 0.8557 0.1623
0.6402 0.5036 0.1073
0.6420 0.5192 0.2262
0.6469 0.1729 0.1606
0.6470 0.4873 0.8429
0.6476 0.8654 0.8791
0.6536 0.8352 0.4917
0.6606 0.5184 0.5043
0.6637 0.1862 0.8452
0.6847 0.7474 0.2782
0.6903 0.2819 0.0593
0.6934 0.0861 0.9471
0.7003 0.0962 0.6660
0.7052 0.6080 0.7201
0.7108 0.9317 0.6641
0.7155 0.4151 0.6136
0.7220 0.9345 0.3915
0.7251 0.2686 0.3425
0.7279 0.4326 0.3305
0.7288 0.3969 0.7184
0.7325 0.6007 0.3346
0.7339 0.0851 0.3406
0.7343 0.9541 0.2761
0.7352 0.4268 0.0030
0.7374 0.6002 0.0054
0.7395 0.2800 0.6570
0.7402 0.6078 0.6035
0.7403 0.9301 0.9871
0.7410 0.7482 0.9977
0.7435 0.7404 0.3934
0.7463 0.0489 0.0588
0.7470 0.2823 0.9439
0.7658 0.7469 0.6593
0.8895 0.7375 0.1679
0.8942 0.6071 0.8442
0.8987 0.2872 0.1680
0.9004 0.0911 0.8472
0.9014 0.0453 0.5561
0.9014 0.7510 0.8913
0.9067 0.9727 0.7740
0.9097 0.6025 0.1077
0.9108 0.9186 0.4908
0.9122 0.4104 0.2241
0.9200 0.7488 0.4885
0.9213 0.3016 0.4427
0.9224 0.4329 0.5078
0.9237 0.4161 0.1175
0.9252 0.2641 0.8460
0.9297 0.9256 0.1596
0.9314 0.6021 0.4984
0.9330 0.0935 0.1655
0.9327 0.4120 0.8417
0.9337 0.5922 0.2246
0.9404 0.7392 0.7751
0.9558 0.9391 0.8878
0.9660 0.2798 0.5579
0.9689 0.0716 0.4451
0.9819 0.8454 0.9945
0.9874 0.5095 0.0081
0.9938 0.5020 0.3305
```

Computed properties:
As for the formation energy: -2.6671 eV/atom. The calculation puts the raw total energy at -6.5703 eV per atom. Its MP2020-corrected energy is -571.74 eV/f.u. The symmetry is P1, No. 1.

---

Entry 2:
First-principles (PBE-GGA) data for Dy2MgSe4 after structural relaxation, as listed in Materials Project.

```
Dy2MgSe4
1.0
13.1583 0.0000 0.0000
0.0000 4.0185 0.0000
0.0000 0.0000 14.0972
Dy Mg Se
8 4 16
direct
0.1156 0.2500 0.0738
0.1428 0.2500 0.7029
0.3572 0.7500 0.2029
0.3844 0.7500 0.5738
0.6156 0.2500 0.4262
0.6428 0.2500 0.7971
0.8572 0.7500 0.2971
0.8844 0.7500 0.9262
0.1110 0.7500 0.4537
0.3890 0.2500 0.9537
0.6110 0.7500 0.0463
0.8890 0.2500 0.5463
0.0089 0.7500 0.6173
0.0285 0.2500 0.8809
0.2213 0.2500 0.2490
0.2404 0.2500 0.5137
0.2596 0.7500 0.0137
0.2787 0.7500 0.7490
0.4715 0.7500 0.3809
0.4911 0.2500 0.1173
0.5089 0.7500 0.8827
0.5285 0.2500 0.6191
0.7213 0.2500 0.2510
0.7404 0.2500 0.9863
0.7596 0.7500 0.4863
0.7787 0.7500 0.7510
0.9715 0.7500 0.1191
0.9911 0.2500 0.3827
```

Computed properties:
As for the formation energy: -1.9035 eV/atom. The calculation puts the raw total energy at -5.1763 eV per atom. Its MP2020-corrected energy is -38.12 eV/f.u. The symmetry is Pnma, No. 62.

---

Entry 3:
First-principles (PBE-GGA) data for YP after structural relaxation, as listed in Materials Project.

```
YP
1.0
0.0000 2.8399 2.8399
2.8399 0.0000 2.8399
2.8399 2.8399 0.0000
Y P
1 1
direct
0.0000 0.0000 0.0000
0.5000 0.5000 0.5000
```

Computed properties:
As for the formation energy: -1.6256 eV/atom. The calculation puts the raw total energy at -7.5655 eV per atom. The symmetry is Fm-3m, No. 225.

---

Entry 4:
First-principles (PBE-GGA) data for Li3PS4 after structural relaxation, as listed in Materials Project.

```
Li3PS4
1.0
13.4231 0.0000 0.0000
0.0000 7.9245 0.0000
0.0000 0.0000 6.2218
Li P S
12 4 16
direct
0.0699 0.2500 0.2117
0.1594 0.0005 0.7989
0.1594 0.4995 0.7989
0.3406 0.9995 0.2989
0.3406 0.5005 0.2989
0.4301 0.7500 0.7117
0.5699 0.2500 0.2883
0.6594 0.0005 0.7011
0.6594 0.4995 0.7011
0.8406 0.9995 0.2011
0.8406 0.5005 0.2011
0.9301 0.7500 0.7883
0.0925 0.7500 0.3043
0.4075 0.2500 0.8043
0.5925 0.7500 0.1957
0.9075 0.2500 0.6957
0.0527 0.2500 0.7999
0.0956 0.7500 0.6371
0.1645 0.5365 0.1975
0.1645 0.9635 0.1975
0.3356 0.0365 0.6975
0.3356 0.4635 0.6975
0.4044 0.2500 0.1371
0.4473 0.7500 0.2999
0.5527 0.2500 0.7001
0.5956 0.7500 0.8629
0.6644 0.5365 0.3025
0.6644 0.9635 0.3025
0.8356 0.0365 0.8025
0.8356 0.4635 0.8025
0.9044 0.2500 0.3629
0.9473 0.7500 0.2001
```

Computed properties:
As for the formation energy: -1.1667 eV/atom. The calculation puts the raw total energy at -4.3759 eV per atom. Its MP2020-corrected energy is -37.02 eV/f.u. The symmetry is Pnma, No. 62.

---

Entry 5:
First-principles (PBE-GGA) data for GeNCl3 after structural relaxation, as listed in Materials Project.

```
GeNCl3
1.0
4.8052 2.7743 3.3813
-4.8052 2.7743 3.3813
0.0000 -5.5485 3.3813
Ge N Cl
1 1 3
direct
0.0000 0.0000 0.0000
0.4701 0.4701 0.4701
0.3202 0.9517 0.9517
0.9517 0.3202 0.9517
0.9517 0.9517 0.3202
```

Computed properties:
As for the formation energy: 0.1787 eV/atom. The calculation puts the raw total energy at -3.1539 eV per atom. Its MP2020-corrected energy is -17.61 eV/f.u. The symmetry is R3m, No. 160.

---

Entry 6:
First-principles (PBE-GGA) data for RbLaMg6O8 after structural relaxation, as listed in Materials Project.

```
RbLaMg6O8
1.0
4.7172 0.0000 0.0000
0.0000 4.7172 0.0000
0.0000 0.0000 9.3769
Rb La Mg O
1 1 6 8
direct
0.0000 0.0000 0.0000
0.0000 0.0000 0.5000
0.0000 0.5000 0.2255
0.0000 0.5000 0.7745
0.5000 0.0000 0.2255
0.5000 0.0000 0.7745
0.5000 0.5000 0.0000
0.5000 0.5000 0.5000
0.0000 0.0000 0.2599
0.0000 0.0000 0.7401
0.0000 0.5000 0.0000
0.0000 0.5000 0.5000
0.5000 0.0000 0.0000
0.5000 0.0000 0.5000
0.5000 0.5000 0.2469
0.5000 0.5000 0.7531
```

Computed properties:
As for the formation energy: -2.4764 eV/atom. The calculation puts the raw total energy at -5.5767 eV per atom. Its MP2020-corrected energy is -94.72 eV/f.u. The symmetry is P4/mmm, No. 123.

---

Entry 7:
First-principles (PBE-GGA) data for Mg2CClO7 after structural relaxation, as listed in Materials Project.

```
Mg2CClO7
1.0
11.4201 6.5934 2.5000
-11.4201 6.5934 2.5000
0.0000 -13.1868 2.5000
Mg C Cl O
12 6 6 42
direct
0.0205 0.3624 0.6170
0.1170 0.8624 0.5205
0.1487 0.7380 0.7098
0.2098 0.2380 0.6487
0.2380 0.6487 0.2098
0.3624 0.6170 0.0205
0.5205 0.1170 0.8624
0.6170 0.0205 0.3624
0.6487 0.2098 0.2380
0.7098 0.1487 0.7380
0.7380 0.7098 0.1487
0.8624 0.5205 0.1170
0.2969 0.8353 0.4552
0.3353 0.7969 0.9552
0.4552 0.2969 0.8353
0.7969 0.9552 0.3353
0.8353 0.4552 0.2969
0.9552 0.3353 0.7969
0.1736 0.4610 0.3551
0.3551 0.1736 0.4610
0.4610 0.3551 0.1736
0.6736 0.8551 0.9610
0.8551 0.9610 0.6736
0.9610 0.6736 0.8551
0.0071 0.3785 0.9335
0.0736 0.4367 0.8236
0.1311 0.6811 0.2712
0.1811 0.6311 0.7712
0.1825 0.2521 0.3724
0.2341 0.3653 0.8272
0.2463 0.4358 0.7642
0.2521 0.3724 0.1825
0.2596 0.2658 0.4832
0.2642 0.9358 0.7463
0.2658 0.4832 0.2596
0.2712 0.1311 0.6811
0.3236 0.9367 0.5736
0.3272 0.8653 0.7341
0.3653 0.8272 0.2341
0.3724 0.1825 0.2521
0.3785 0.9335 0.0071
0.4335 0.8785 0.5071
0.4358 0.7642 0.2463
0.4367 0.8236 0.0736
0.4832 0.2596 0.2658
0.5071 0.4335 0.8785
0.5736 0.3236 0.9367
0.6311 0.7712 0.1811
0.6811 0.2712 0.1311
0.6825 0.8724 0.7521
0.7341 0.3272 0.8653
0.7463 0.2642 0.9358
0.7521 0.6825 0.8724
0.7596 0.9832 0.7658
0.7642 0.2463 0.4358
0.7658 0.7596 0.9832
0.7712 0.1811 0.6311
0.8236 0.0736 0.4367
0.8272 0.2341 0.3653
0.8653 0.7341 0.3272
0.8724 0.7521 0.6825
0.8785 0.5071 0.4335
0.9335 0.0071 0.3785
0.9358 0.7463 0.2642
0.9367 0.5736 0.3236
0.9832 0.7658 0.7596
```

Computed properties:
As for the formation energy: -1.3097 eV/atom. The calculation puts the raw total energy at -5.6539 eV per atom. Its MP2020-corrected energy is -63.32 eV/f.u. The symmetry is R3c, No. 161.